First-principles (GGA-PBE) data for a geometry-optimized LaH4C2SO8 structure, as listed in the Materials Project database.

Cell: 11.144 6.662 11.229 Å, 60.04 90.00 90.00°
Fractional positions:
La1 0.658 0.435 0.393
La2 0.842 0.435 0.893
La3 0.342 0.565 0.607
La4 0.158 0.565 0.107
H1 0.696 0.025 0.705
H2 0.804 0.025 0.205
H3 0.304 0.975 0.295
H4 0.196 0.975 0.795
H5 0.599 0.202 0.695
H6 0.901 0.202 0.195
H7 0.401 0.798 0.305
H8 0.099 0.798 0.805
H9 0.604 0.374 0.132
H10 0.896 0.374 0.632
H11 0.396 0.626 0.868
H12 0.104 0.626 0.368
H13 0.479 0.432 0.174
H14 0.021 0.432 0.674
H15 0.521 0.568 0.826
H16 0.979 0.568 0.326
C1 0.525 0.915 0.103
C2 0.975 0.915 0.603
C3 0.475 0.085 0.897
C4 0.025 0.085 0.397
C5 0.557 0.135 0.981
C6 0.943 0.135 0.481
C7 0.443 0.865 0.019
C8 0.057 0.865 0.519
S1 0.676 0.765 0.535
S2 0.824 0.765 0.035
S3 0.324 0.235 0.465
S4 0.176 0.235 0.965
O1 0.767 0.703 0.460
O2 0.733 0.703 0.960
O3 0.233 0.297 0.540
O4 0.267 0.297 0.040
O5 0.562 0.645 0.531
O6 0.938 0.645 0.031
O7 0.438 0.355 0.469
O8 0.062 0.355 0.969
O9 0.658 0.017 0.465
O10 0.842 0.017 0.965
O11 0.342 0.983 0.535
O12 0.158 0.983 0.035
O13 0.712 0.677 0.680
O14 0.788 0.677 0.180
O15 0.288 0.323 0.320
O16 0.212 0.323 0.820
O17 0.551 0.813 0.229
O18 0.949 0.813 0.729
O19 0.449 0.187 0.771
O20 0.051 0.187 0.271
O21 0.625 0.304 0.956
O22 0.875 0.304 0.456
O23 0.375 0.696 0.044
O24 0.125 0.696 0.544
O25 0.677 0.191 0.659
O26 0.823 0.191 0.159
O27 0.323 0.809 0.341
O28 0.177 0.809 0.841
O29 0.560 0.370 0.209
O30 0.940 0.370 0.709
O31 0.440 0.630 0.791
O32 0.060 0.630 0.291

The formation enthalpy at 0 K is -1802 meV per atom. The calculation puts the calculated volume at 11.28 Å³ per atom.

---

First-principles (GGA-PBE) data for a geometry-optimized Ba4MgC4N8F2 structure, as listed in the Materials Project database.

Cell: 8.640 8.492 8.557 Å, 70.93 90.00 90.00°
Fractional positions:
Ba1 0.167 0.211 0.413
Ba2 0.667 0.789 0.087
Ba3 0.833 0.789 0.587
Ba4 0.333 0.211 0.913
Ba5 0.671 0.244 0.257
Ba6 0.171 0.756 0.243
Ba7 0.329 0.756 0.743
Ba8 0.829 0.244 0.757
Mg1 0.000 0.500 0.000
Mg2 0.500 0.500 0.500
C1 0.855 0.505 0.354
C2 0.355 0.495 0.146
C3 0.145 0.495 0.646
C4 0.645 0.505 0.854
C5 0.945 0.077 0.160
C6 0.445 0.923 0.340
C7 0.055 0.923 0.840
C8 0.555 0.077 0.660
N1 0.956 0.499 0.254
N2 0.456 0.501 0.246
N3 0.044 0.501 0.746
N4 0.544 0.499 0.754
N5 0.252 0.489 0.047
N6 0.752 0.511 0.453
N7 0.748 0.511 0.953
N8 0.248 0.489 0.547
N9 0.999 0.217 0.090
N10 0.499 0.783 0.410
N11 0.001 0.783 0.910
N12 0.501 0.217 0.590
N13 0.387 0.062 0.267
N14 0.887 0.938 0.233
N15 0.613 0.938 0.733
N16 0.113 0.062 0.767
F1 0.869 0.130 0.498
F2 0.369 0.870 0.002
F3 0.131 0.870 0.502
F4 0.631 0.130 0.998

The formation enthalpy at 0 K is -1282 meV per atom. The calculation puts the calculated volume at 15.62 Å³ per atom.

---

First-principles (GGA-PBE) data for a geometry-optimized CdH2O2 structure, as listed in the Materials Project database.

Cell: 3.586 3.586 4.805 Å, 85.55 85.55 59.13°
Fractional positions:
Cd1 0.977 0.023 0.000
H1 0.589 0.826 0.570
H2 0.174 0.411 0.430
O1 0.665 0.722 0.764
O2 0.278 0.335 0.236

Its piezoelectric modulus e_max is 1.0 C/m2. The formation enthalpy at 0 K is -1299 meV per atom. The calculation puts the calculated volume at 10.56 Å³ per atom. The polymorph energy (0 for the lowest one) comes out at 0.0260 eV/atom.

---

First-principles (GGA-PBE) data for a geometry-optimized ErH structure, as listed in the Materials Project database.

Cell: 3.445 3.445 3.445 Å, 60.00 60.00 60.00°
Fractional positions:
Er1 0.000 0.000 0.000
H1 0.500 0.500 0.500

The formation enthalpy at 0 K is -414 meV per atom. The calculation puts the calculated volume at 14.45 Å³ per atom.

---

First-principles (GGA-PBE) data for a geometry-optimized NdB7IO15 structure, as listed in the Materials Project database.

Cell: 17.369 8.182 12.831 Å, 50.78 90.00 90.00°
Fractional positions:
Nd1 0.793 0.444 0.749
Nd2 0.707 0.444 0.249
Nd3 0.207 0.556 0.251
Nd4 0.293 0.556 0.751
B1 0.916 0.093 0.215
B2 0.584 0.093 0.715
B3 0.084 0.907 0.785
B4 0.416 0.907 0.285
B5 0.805 0.930 0.366
B6 0.695 0.930 0.866
B7 0.195 0.070 0.634
B8 0.305 0.070 0.134
B9 0.798 0.846 0.750
B10 0.702 0.846 0.250
B11 0.202 0.154 0.250
B12 0.298 0.154 0.750
B13 0.788 0.191 0.110
B14 0.712 0.191 0.610
B15 0.212 0.809 0.890
B16 0.288 0.809 0.390
B17 0.751 0.569 0.477
B18 0.749 0.569 0.977
B19 0.249 0.431 0.523
B20 0.251 0.431 0.023
B21 0.944 0.915 0.728
B22 0.556 0.915 0.228
B23 0.056 0.085 0.272
B24 0.444 0.085 0.772
B25 0.728 0.039 0.008
B26 0.772 0.039 0.508
B27 0.272 0.961 0.992
B28 0.228 0.961 0.492
I1 0.575 0.667 0.658
I2 0.925 0.667 0.158
I3 0.425 0.333 0.342
I4 0.075 0.333 0.842
O1 0.871 0.896 0.773
O2 0.629 0.896 0.273
O3 0.129 0.104 0.227
O4 0.371 0.104 0.727
O5 0.784 0.714 0.484
O6 0.716 0.714 0.984
O7 0.216 0.286 0.516
O8 0.284 0.286 0.016
O9 0.758 0.205 0.997
O10 0.742 0.205 0.497
O11 0.242 0.795 0.003
O12 0.258 0.795 0.503
O13 0.737 0.986 0.742
O14 0.763 0.986 0.242
O15 0.263 0.014 0.258
O16 0.237 0.014 0.758
O17 0.794 0.855 0.630
O18 0.706 0.855 0.130
O19 0.206 0.145 0.370
O20 0.294 0.145 0.870
O21 0.995 0.123 0.192
O22 0.505 0.123 0.692
O23 0.005 0.877 0.808
O24 0.495 0.877 0.308
O25 0.870 0.209 0.103
O26 0.630 0.209 0.603
O27 0.130 0.791 0.897
O28 0.370 0.791 0.397
O29 0.886 0.953 0.342
O30 0.614 0.953 0.842
O31 0.114 0.047 0.658
O32 0.386 0.047 0.158
O33 0.748 0.368 0.599
O34 0.752 0.368 0.099
O35 0.252 0.632 0.401
O36 0.248 0.632 0.901
O37 0.967 0.509 0.758
O38 0.533 0.509 0.258
O39 0.033 0.491 0.242
O40 0.467 0.491 0.742
O41 0.777 0.621 0.859
O42 0.723 0.621 0.359
O43 0.223 0.379 0.141
O44 0.277 0.379 0.641
O45 0.885 0.199 0.837
O46 0.615 0.199 0.337
O47 0.115 0.801 0.163
O48 0.385 0.801 0.663
O49 0.724 0.080 0.887
O50 0.776 0.080 0.387
O51 0.276 0.920 0.113
O52 0.224 0.920 0.613
O53 0.935 0.527 0.659
O54 0.565 0.527 0.159
O55 0.065 0.473 0.341
O56 0.435 0.473 0.841
O57 0.953 0.965 0.605
O58 0.547 0.965 0.105
O59 0.047 0.035 0.395
O60 0.453 0.035 0.895

The formation enthalpy at 0 K is -2044 meV per atom. The calculation puts the calculated volume at 14.72 Å³ per atom.

---

First-principles (GGA-PBE) data for a geometry-optimized Be12Co structure, as listed in the Materials Project database.

Cell: 5.469 5.469 5.469 Å, 98.04 98.04 136.09°
Fractional positions:
Be1 0.000 0.000 0.500
Be2 0.500 0.500 0.500
Be3 0.500 0.000 0.000
Be4 0.000 0.500 0.000
Be5 0.000 0.345 0.345
Be6 0.000 0.655 0.655
Be7 0.655 0.000 0.655
Be8 0.345 0.000 0.345
Be9 0.500 0.287 0.787
Be10 0.500 0.713 0.213
Be11 0.713 0.500 0.213
Be12 0.287 0.500 0.787
Co1 0.000 0.000 0.000

The formation enthalpy at 0 K is -41 meV per atom. The calculation puts the calculated volume at 8.10 Å³ per atom.

---

First-principles (GGA-PBE) data for a geometry-optimized Rb3Pr structure, as listed in the Materials Project database.

Cell: 9.160 9.160 7.566 Å, 90.00 90.00 120.00°
Fractional positions:
Rb1 0.173 0.345 0.250
Rb2 0.655 0.827 0.250
Rb3 0.173 0.827 0.250
Rb4 0.827 0.655 0.750
Rb5 0.345 0.173 0.750
Rb6 0.827 0.173 0.750
Pr1 0.333 0.667 0.750
Pr2 0.667 0.333 0.250

The formation enthalpy at 0 K is 580 meV per atom. The calculation puts the calculated volume at 68.72 Å³ per atom. The polymorph energy (0 for the lowest one) comes out at 0.0000 eV/atom.

---

First-principles (GGA-PBE) data for a geometry-optimized YMg14Nb structure, as listed in the Materials Project database.

Cell: 6.469 6.345 10.291 Å, 90.00 90.00 119.37°
Fractional positions:
Y1 0.164 0.332 0.125
Mg1 0.167 0.333 0.625
Mg2 0.164 0.832 0.625
Mg3 0.662 0.328 0.125
Mg4 0.666 0.334 0.625
Mg5 0.662 0.834 0.125
Mg6 0.666 0.831 0.625
Mg7 0.333 0.158 0.376
Mg8 0.333 0.158 0.874
Mg9 0.333 0.675 0.376
Mg10 0.333 0.675 0.874
Mg11 0.831 0.165 0.381
Mg12 0.831 0.165 0.869
Mg13 0.843 0.671 0.367
Mg14 0.843 0.671 0.883
Nb1 0.170 0.835 0.125

The formation enthalpy at 0 K is 72 meV per atom. The calculation puts the calculated volume at 23.01 Å³ per atom. The polymorph energy (0 for the lowest one) comes out at 0.0000 eV/atom.